Entry 1:
NaBH4 meta-GGA r2SCAN optimized geometry; crystal system = tetragonal; magnetic moment = 0.0 μB/cell; energy of formation = -386 meV per atom
1.0
4.276 0.000 0.000
0.000 4.276 0.000
0.000 0.000 5.799
H Na B
8 2 2
direct
0.267 0.509 0.879 H
0.991 0.233 0.379 H
0.767 0.991 0.621 H
0.491 0.267 0.121 H
0.509 0.733 0.121 H
0.233 0.009 0.621 H
0.009 0.767 0.379 H
0.733 0.491 0.879 H
0.000 0.000 0.000 Na
0.500 0.500 0.500 Na
0.500 0.500 0.000 B
0.000 0.000 0.500 B

***

Entry 2:
NaBH4 meta-GGA r2SCAN optimized geometry; crystal system = tetragonal; magnetic moment = 0.0 μB/cell; energy of formation = -385 meV per atom
1.0
-1.641 0.171 -3.992
0.553 -4.264 -0.410
-5.274 -0.889 2.130
H Na B
8 2 2
direct
0.481 0.270 0.122 H
0.019 0.770 0.378 H
0.730 0.481 0.878 H
0.981 0.230 0.378 H
0.519 0.730 0.122 H
0.230 0.019 0.622 H
0.270 0.519 0.878 H
0.770 0.981 0.622 H
0.500 0.500 0.500 Na
0.000 0.000 0.000 Na
0.000 0.000 0.500 B
0.500 0.500 0.000 B

***

Entry 3:
NaBH4O4 meta-GGA r2SCAN optimized geometry; crystal system = monoclinic; magnetic moment = 0.2 μB/cell; energy of formation = -1632 meV per atom
1.0
10.292 0.000 0.000
0.000 5.842 0.023
0.000 2.320 5.614
H O B Na
16 16 4 4
direct
0.380 0.921 0.028 H
0.880 0.579 0.972 H
0.749 0.148 0.496 H
0.251 0.852 0.504 H
0.751 0.648 0.496 H
0.120 0.421 0.028 H
0.407 0.645 0.384 H
0.193 0.929 0.865 H
0.807 0.071 0.135 H
0.249 0.352 0.504 H
0.093 0.145 0.384 H
0.907 0.855 0.616 H
0.593 0.355 0.616 H
0.693 0.571 0.135 H
0.307 0.429 0.865 H
0.620 0.079 0.972 H
0.400 0.387 0.858 O
0.600 0.613 0.142 O
0.145 0.477 0.859 O
0.355 0.977 0.859 O
0.841 0.165 0.510 O
0.341 0.335 0.490 O
0.047 0.306 0.329 O
0.855 0.523 0.141 O
0.659 0.665 0.510 O
0.547 0.194 0.671 O
0.100 0.887 0.858 O
0.453 0.806 0.329 O
0.159 0.835 0.490 O
0.953 0.694 0.671 O
0.900 0.113 0.142 O
0.645 0.023 0.141 O
0.091 0.726 0.724 B
0.409 0.226 0.724 B
0.909 0.274 0.276 B
0.591 0.774 0.276 B
0.018 0.747 0.244 Na
0.518 0.753 0.756 Na
0.982 0.253 0.756 Na
0.482 0.247 0.244 Na

***

Entry 4:
RbBH4 meta-GGA r2SCAN optimized geometry; crystal system = cubic; magnetic moment = 0.1 μB/cell; energy of formation = -451 meV per atom
1.0
0.326 -4.095 2.641
-3.725 -3.157 0.080
0.413 -4.322 -2.237
H B Rb
4 1 1
direct
0.398 0.807 0.398 H
0.807 0.398 0.398 H
0.398 0.398 0.807 H
0.398 0.398 0.398 H
0.500 0.500 0.500 B
0.000 0.000 0.000 Rb

***

Entry 5:
TlB6H6 meta-GGA r2SCAN optimized geometry; crystal system = cubic; magnetic moment = 0.0 μB/cell; energy of formation = -240 meV per atom
1.0
0.000 5.331 5.331
5.331 0.000 5.331
5.331 5.331 0.000
B H Tl
12 12 2
direct
0.948 0.052 0.218 B
0.782 0.052 0.948 B
0.782 0.948 0.218 B
0.782 0.218 0.052 B
0.948 0.782 0.052 B
0.052 0.948 0.782 B
0.218 0.948 0.052 B
0.052 0.218 0.948 B
0.948 0.218 0.782 B
0.052 0.782 0.218 B
0.218 0.052 0.782 B
0.218 0.782 0.948 B
0.372 0.908 0.092 H
0.908 0.628 0.092 H
0.372 0.628 0.908 H
0.092 0.908 0.628 H
0.092 0.372 0.908 H
0.908 0.092 0.372 H
0.092 0.628 0.372 H
0.908 0.372 0.628 H
0.372 0.092 0.628 H
0.628 0.908 0.372 H
0.628 0.092 0.908 H
0.628 0.372 0.092 H
0.750 0.750 0.750 Tl
0.250 0.250 0.250 Tl

***

Entry 6:
YB3H12 meta-GGA r2SCAN optimized geometry; crystal system = cubic; magnetic moment = 0.0 μB/cell; energy of formation = -334 meV per atom
1.0
-0.703 -4.900 -9.631
10.712 -1.585 0.024
-1.421 -9.526 4.950
H Y B
96 8 24
direct
0.837 0.107 0.799 H
0.211 0.746 0.524 H
0.081 0.826 0.652 H
0.919 0.326 0.848 H
0.826 0.652 0.081 H
0.976 0.789 0.246 H
0.674 0.152 0.081 H
0.534 0.397 0.775 H
0.607 0.799 0.663 H
0.103 0.275 0.534 H
0.725 0.034 0.397 H
0.174 0.152 0.419 H
0.897 0.775 0.966 H
0.663 0.607 0.799 H
0.289 0.254 0.024 H
0.326 0.652 0.419 H
0.024 0.289 0.254 H
0.848 0.919 0.326 H
0.152 0.081 0.674 H
0.919 0.174 0.348 H
0.534 0.103 0.275 H
0.799 0.837 0.107 H
0.725 0.466 0.897 H
0.966 0.603 0.275 H
0.397 0.725 0.034 H
0.246 0.524 0.289 H
0.034 0.397 0.725 H
0.337 0.107 0.701 H
0.524 0.211 0.746 H
0.603 0.225 0.466 H
0.893 0.201 0.163 H
0.174 0.348 0.919 H
0.103 0.225 0.034 H
0.034 0.103 0.225 H
0.476 0.711 0.754 H
0.711 0.746 0.976 H
0.746 0.976 0.711 H
0.246 0.976 0.789 H
0.711 0.754 0.476 H
0.837 0.393 0.299 H
0.799 0.663 0.607 H
0.419 0.326 0.652 H
0.211 0.754 0.024 H
0.348 0.919 0.174 H
0.466 0.603 0.225 H
0.789 0.254 0.476 H
0.397 0.775 0.534 H
0.254 0.476 0.789 H
0.201 0.163 0.893 H
0.826 0.848 0.581 H
0.393 0.299 0.837 H
0.419 0.174 0.152 H
0.966 0.897 0.775 H
0.848 0.581 0.826 H
0.163 0.893 0.201 H
0.081 0.674 0.152 H
0.775 0.534 0.397 H
0.663 0.893 0.299 H
0.275 0.534 0.103 H
0.976 0.711 0.746 H
0.607 0.701 0.163 H
0.652 0.081 0.826 H
0.393 0.201 0.337 H
0.754 0.024 0.211 H
0.476 0.789 0.254 H
0.107 0.701 0.337 H
0.152 0.419 0.174 H
0.674 0.348 0.581 H
0.581 0.826 0.848 H
0.225 0.466 0.603 H
0.024 0.211 0.754 H
0.254 0.024 0.289 H
0.701 0.337 0.107 H
0.701 0.163 0.607 H
0.581 0.674 0.348 H
0.652 0.419 0.326 H
0.275 0.966 0.603 H
0.225 0.034 0.103 H
0.603 0.275 0.966 H
0.163 0.607 0.701 H
0.893 0.299 0.663 H
0.746 0.524 0.211 H
0.289 0.246 0.524 H
0.299 0.663 0.893 H
0.775 0.966 0.897 H
0.897 0.725 0.466 H
0.337 0.393 0.201 H
0.107 0.799 0.837 H
0.299 0.837 0.393 H
0.326 0.848 0.919 H
0.201 0.337 0.393 H
0.348 0.581 0.674 H
0.789 0.246 0.976 H
0.754 0.476 0.711 H
0.524 0.289 0.246 H
0.466 0.897 0.725 H
0.283 0.717 0.217 Y
0.717 0.283 0.783 Y
0.217 0.217 0.217 Y
0.717 0.217 0.283 Y
0.217 0.283 0.717 Y
0.783 0.717 0.283 Y
0.783 0.783 0.783 Y
0.283 0.783 0.717 Y
0.747 0.967 0.308 B
0.033 0.692 0.253 B
0.467 0.308 0.753 B
0.467 0.192 0.253 B
0.033 0.808 0.753 B
0.247 0.533 0.692 B
0.753 0.033 0.808 B
0.192 0.253 0.467 B
0.253 0.467 0.192 B
0.533 0.808 0.747 B
0.747 0.533 0.808 B
0.753 0.467 0.308 B
0.253 0.033 0.692 B
0.967 0.308 0.747 B
0.308 0.747 0.967 B
0.808 0.747 0.533 B
0.692 0.253 0.033 B
0.808 0.753 0.033 B
0.247 0.967 0.192 B
0.692 0.247 0.533 B
0.967 0.192 0.247 B
0.533 0.692 0.247 B
0.308 0.753 0.467 B
0.192 0.247 0.967 B